{
  "formula": "KH5C3N2O5",
  "functional": "GGA-PBE",
  "state": "relaxed",
  "lattice_angstrom": [[7.783, 0.000, 0.000], [0.000, 12.855, 0.000], [0.000, 0.000, 7.700]],
  "species": ["K", "K", "K", "K", "H", "H", "H", "H", "H", "H", "H", "H", "H", "H", "H", "H", "H", "H", "H", "H", "H", "H", "H", "H", "C", "C", "C", "C", "C", "C", "C", "C", "C", "C", "C", "C", "N", "N", "N", "N", "N", "N", "N", "N", "O", "O", "O", "O", "O", "O", "O", "O", "O", "O", "O", "O", "O", "O", "O", "O", "O", "O", "O", "O"],
  "frac_coords": [[0.000, 0.000, 0.244], [0.000, 0.000, 0.756], [0.500, 0.500, 0.256], [0.500, 0.500, 0.744], [0.119, 0.409, 0.500], [0.124, 0.426, 0.000], [0.135, 0.217, 0.000], [0.176, 0.798, 0.500], [0.188, 0.542, 0.000], [0.312, 0.042, 0.500], [0.324, 0.298, 0.000], [0.365, 0.717, 0.500], [0.376, 0.926, 0.500], [0.381, 0.909, 0.000], [0.619, 0.091, 0.000], [0.624, 0.074, 0.500], [0.635, 0.283, 0.500], [0.676, 0.702, 0.000], [0.688, 0.958, 0.500], [0.812, 0.458, 0.000], [0.824, 0.202, 0.500], [0.865, 0.783, 0.000], [0.876, 0.574, 0.000], [0.881, 0.591, 0.500], [0.128, 0.248, 0.500], [0.135, 0.642, 0.500], [0.172, 0.754, 0.000], [0.328, 0.254, 0.500], [0.365, 0.142, 0.000], [0.372, 0.748, 0.000], [0.628, 0.252, 0.000], [0.635, 0.858, 0.000], [0.672, 0.746, 0.500], [0.828, 0.246, 0.000], [0.865, 0.358, 0.500], [0.872, 0.752, 0.500], [0.045, 0.342, 0.500], [0.234, 0.727, 0.500], [0.266, 0.227, 0.000], [0.455, 0.842, 0.000], [0.545, 0.158, 0.000], [0.734, 0.773, 0.000], [0.766, 0.273, 0.500], [0.955, 0.658, 0.500], [0.055, 0.162, 0.500], [0.095, 0.668, 0.000], [0.105, 0.844, 0.000], [0.193, 0.551, 0.500], [0.228, 0.468, 0.000], [0.272, 0.968, 0.500], [0.307, 0.051, 0.000], [0.395, 0.344, 0.500], [0.405, 0.168, 0.500], [0.445, 0.662, 0.000], [0.555, 0.338, 0.000], [0.595, 0.832, 0.500], [0.605, 0.656, 0.500], [0.693, 0.949, 0.000], [0.728, 0.032, 0.500], [0.772, 0.532, 0.000], [0.807, 0.449, 0.500], [0.895, 0.156, 0.000], [0.905, 0.332, 0.000], [0.945, 0.838, 0.500]],
  "formation_enthalpy_0k_ev_per_atom": -1.1420,
  "magmom_total_mub_per_cell": 0.08,
  "energy_mp2020_ev_per_cell": -421.78,
  "spacegroup": "No. 58"
}